A relaxed Tm4BClO7 crystal. Source: the Materials Project, functional GGA-PBE.

Total energy after the MP2020 corrections: -8.42 eV per atom
Crystal system: monoclinic
Total DFT energy (no corrections): -8.05 eV/atom
Total moment: 0.000 μB/atom
Formation energy from the elements: -3.7219 eV/atom

a = 8.491 Å, b = 7.957 Å, c = 12.081 Å
α = 90.00°, β = 119.30°, γ = 90.00°
Space group P2_1/c (No. 14)
Asymmetric unit:
Tm 0.068 0.139 0.418 [4 per cell]
Tm 0.074 0.617 0.408 [4 per cell]
Tm 0.296 0.125 0.778 [4 per cell]
Tm 0.317 0.615 0.778 [4 per cell]
B 0.370 0.131 0.086 [4 per cell]
Cl 0.381 0.652 0.031 [4 per cell]
O 0.040 0.122 0.597 [4 per cell]
O 0.075 0.621 0.593 [4 per cell]
O 0.180 0.117 0.282 [4 per cell]
O 0.189 0.637 0.273 [4 per cell]
O 0.272 0.109 0.956 [4 per cell]
O 0.387 0.209 0.634 [4 per cell]
O 0.439 0.504 0.667 [4 per cell]